1.
Density functional theory data (r²SCAN) for a geometry-optimized Ba2Pb structure.

Cell lengths 5.7552, 8.9010, 10.7427 Å; angles 90.00, 90.00, 90.00 degrees
Closest atoms and distances in Å follow each position.
Sites, in units of the cell vectors:
Ba 0.7500 0.4806 0.1787  3 Pb 3.63-3.83
Pb 0.7500 0.2513 0.8987  7 Ba 3.53-3.83
Ba 0.7500 0.8457 0.9205  4 Pb 3.53-3.62
Pb 0.7500 0.7513 0.6013  7 Ba 3.53-3.83
Ba 0.7500 0.3457 0.5795  4 Pb 3.53-3.62
Pb 0.2500 0.7487 0.1013  7 Ba 3.53-3.83
Ba 0.2500 0.5194 0.8213  3 Pb 3.63-3.83
Ba 0.2500 0.1543 0.0795  4 Pb 3.53-3.62
Ba 0.2500 0.6543 0.4205  4 Pb 3.53-3.62
Ba 0.2500 0.0194 0.6787  3 Pb 3.63-3.83
Pb 0.2500 0.2487 0.3987  7 Ba 3.53-3.83
Ba 0.7500 0.9806 0.3213  3 Pb 3.63-3.83

Computed properties:
**Formation energy from the elements**: -0.68 eV per atom



2.
Density functional theory data (r²SCAN) for a geometry-optimized Ba2Pd structure.

Cell lengths 5.1875, 8.4266, 10.5794 Å; angles 89.99, 90.00, 90.00 degrees
Closest atoms and distances in Å follow each position.
Sites, in units of the cell vectors:
Pd 0.2500 0.2584 0.4114  7 Ba 3.32-3.57
Ba 0.2500 0.0000 0.8413  3 Pd 3.31-3.38
Ba 0.7500 0.6393 0.9163  4 Pd 3.33-3.57
Pd 0.7500 0.2414 0.9116  7 Ba 3.31-3.57
Pd 0.7500 0.7416 0.5884  7 Ba 3.31-3.57
Pd 0.2500 0.7586 0.0886  7 Ba 3.31-3.57
Ba 0.7500 0.5001 0.3412  3 Pd 3.31-3.38
Ba 0.2500 0.3606 0.0839  4 Pd 3.33-3.57
Ba 0.7500 0.0000 0.1588  3 Pd 3.31-3.38
Ba 0.2500 0.8608 0.4161  4 Pd 3.33-3.57
Ba 0.2500 0.5000 0.6587  3 Pd 3.32-3.38
Ba 0.7500 0.1391 0.5838  4 Pd 3.33-3.57

Computed properties:
**Formation energy from the elements**: -0.30 eV per atom



3.
Density functional theory data (r²SCAN) for a geometry-optimized BaPd5 structure.

Cell lengths 5.5870, 5.5870, 4.3252 Å; angles 90.00, 90.00, 120.00 degrees
Closest atoms and distances in Å follow each position.
Sites, in units of the cell vectors:
Pd 0.5000 0.0000 0.5000  8 Pd 2.70-2.79
Ba 0.0000 0.0000 0.0000  18 Pd 3.23-3.53
Pd 0.3333 0.6667 0.0000  6 Pd 2.70
Pd 0.6667 0.3333 0.0000  6 Pd 2.70
Pd 0.0000 0.5000 0.5000  8 Pd 2.70-2.79
Pd 0.5000 0.5000 0.5000  8 Pd 2.70-2.79

Computed properties:
**Formation energy from the elements**: -0.33 eV per atom



4.
Density functional theory data (r²SCAN) for a geometry-optimized BaSb2Pd structure.

Cell lengths 4.9247, 5.0112, 9.5860 Å; angles 90.00, 104.88, 90.00 degrees
Closest atoms and distances in Å follow each position.
Sites, in units of the cell vectors:
Sb 0.7514 0.7500 0.5029  4 Pd 2.74-2.75
Ba 0.3936 0.7500 0.7873  10 Sb 3.61-3.71, 5 Pd 3.82-3.83
Sb 0.9584 0.2500 0.9169  1 Pd 2.70, 2 Sb 2.94
Ba 0.6064 0.2500 0.2127  10 Sb 3.61-3.71, 5 Pd 3.82-3.83
Sb 0.0416 0.7500 0.0831  1 Pd 2.70, 2 Sb 2.94
Sb 0.2486 0.2500 0.4971  4 Pd 2.74-2.75
Pd 0.8128 0.2500 0.6256  5 Sb 2.70-2.75
Pd 0.1872 0.7500 0.3744  5 Sb 2.70-2.75

Computed properties:
**Formation energy from the elements**: -0.87 eV per atom



5.
Density functional theory data (r²SCAN) for a geometry-optimized BaSn3Pd structure.

Cell lengths 4.9368, 4.9368, 6.6287 Å; angles 111.86, 111.86, 90.00 degrees
Closest atoms and distances in Å follow each position.
Sites, in units of the cell vectors:
Sn 0.4126 0.4126 0.8251  1 Pd 2.68
Pd 0.6504 0.6504 0.3008  5 Sn 2.68-2.71
Sn 0.2495 0.7495 0.4991  2 Pd 2.71
Sn 0.7495 0.2495 0.4991  2 Pd 2.71
Ba 0.0000 0.0000 0.0000  12 Sn 3.63-3.75, 5 Pd 3.88-3.94

Computed properties:
**Formation energy from the elements**: -0.65 eV per atom



6.
Density functional theory data (r²SCAN) for a geometry-optimized BaPr2Se4 structure.

Cell lengths 8.0159, 8.0159, 8.0160 Å; angles 109.38, 109.38, 109.64 degrees
Closest atoms and distances in Å follow each position.
Sites, in units of the cell vectors:
Se 0.7323 0.9862 0.5921  4 Pr 3.01-3.36, 2 Ba 3.20-3.37
Se 0.0138 0.6059 0.7462  4 Pr 3.01-3.36, 2 Ba 3.20-3.37
Ba 0.0000 0.0000 0.0000  8 Se 3.20-3.37
Se 0.8557 0.7638 0.2461  4 Pr 3.01-3.36, 1 Ba 3.20
Se 0.5177 0.6096 0.7539  4 Pr 3.01-3.36, 1 Ba 3.20
Pr 0.1250 0.2515 0.6265  8 Se 3.01-3.36
Pr 0.7485 0.3750 0.8735  8 Se 3.01-3.36
Pr 0.5014 0.8750 0.1265  8 Se 3.01-3.36
Se 0.3904 0.1443 0.9080  4 Pr 3.01-3.36, 1 Ba 3.20
Pr 0.6250 0.4986 0.3735  8 Se 3.01-3.36
Se 0.3941 0.1402 0.4079  4 Pr 3.01-3.36, 2 Ba 3.20-3.37
Se 0.2362 0.4823 0.0920  4 Pr 3.01-3.36, 1 Ba 3.20
Se 0.8598 0.2677 0.2538  4 Pr 3.01-3.36, 2 Ba 3.20-3.37
Ba 0.2500 0.7500 0.5000  8 Se 3.20-3.37

Computed properties:
**Formation energy from the elements**: -2.22 eV per atom



7.
Density functional theory data (r²SCAN) for a geometry-optimized BaPt5 structure.

Cell lengths 5.5920, 5.5920, 4.3191 Å; angles 90.00, 90.00, 120.00 degrees
Closest atoms and distances in Å follow each position.
Sites, in units of the cell vectors:
Ba 0.0000 0.0000 0.0000  18 Pt 3.23-3.53
Pt 0.6667 0.3333 0.0000  6 Pt 2.70
Pt 0.5000 0.0000 0.5000  8 Pt 2.70-2.80
Pt 0.3333 0.6667 0.0000  6 Pt 2.70
Pt 0.0000 0.5000 0.5000  8 Pt 2.70-2.80
Pt 0.5000 0.5000 0.5000  8 Pt 2.70-2.80

Computed properties:
**Formation energy from the elements**: -0.54 eV per atom



8.
Density functional theory data (r²SCAN) for a geometry-optimized BaPt structure.

Cell lengths 5.1451, 5.1451, 5.4243 Å; angles 90.00, 90.00, 120.00 degrees
Closest atoms and distances in Å follow each position.
Sites, in units of the cell vectors:
Ba 0.3333 0.6667 0.2500  6 Pt 3.27
Pt 0.0000 0.0000 0.0000  2 Pt 2.71
Pt 0.0000 0.0000 0.5000  2 Pt 2.71
Ba 0.6667 0.3333 0.7500  6 Pt 3.27

Computed properties:
**Formation energy from the elements**: -0.82 eV per atom



9.
Density functional theory data (r²SCAN) for a geometry-optimized BaPt2 structure.

Cell lengths 5.6779, 5.6779, 5.6779 Å; angles 60.00, 60.00, 60.00 degrees
Closest atoms and distances in Å follow each position.
Sites, in units of the cell vectors:
Pt 0.5000 0.5000 0.5000  6 Pt 2.84
Pt 0.5000 0.5000 0.0000  6 Pt 2.84
Ba 0.8750 0.8750 0.8750  12 Pt 3.33, 4 Ba 3.48
Pt 0.0000 0.5000 0.5000  6 Pt 2.84
Pt 0.5000 0.0000 0.5000  6 Pt 2.84
Ba 0.1250 0.1250 0.1250  12 Pt 3.33, 4 Ba 3.48

Computed properties:
**Formation energy from the elements**: -0.80 eV per atom



10.
Density functional theory data (r²SCAN) for a geometry-optimized BaSiPt structure.

Cell lengths 6.6917, 6.6917, 6.6917 Å; angles 90.00, 90.00, 90.00 degrees
Closest atoms and distances in Å follow each position.
Sites, in units of the cell vectors:
Ba 0.8848 0.8848 0.8848  4 Pt 3.14-3.45, 1 Si 3.33
Pt 0.3445 0.8445 0.6555  3 Si 2.40
Pt 0.8445 0.6555 0.3445  3 Si 2.40
Si 0.9028 0.4028 0.0972  3 Pt 2.40
Pt 0.1555 0.1555 0.1555  3 Si 2.40
Si 0.0972 0.9028 0.4028  3 Pt 2.40
Si 0.4028 0.0972 0.9028  3 Pt 2.40
Ba 0.3848 0.6152 0.1152  4 Pt 3.14-3.45, 1 Si 3.33
Ba 0.6152 0.1152 0.3848  4 Pt 3.14-3.45, 1 Si 3.33
Si 0.5972 0.5972 0.5972  3 Pt 2.40
Ba 0.1152 0.3848 0.6152  4 Pt 3.14-3.45, 1 Si 3.33
Pt 0.6555 0.3445 0.8445  3 Si 2.40

Computed properties:
**Formation energy from the elements**: -1.03 eV per atom



11.
Density functional theory data (r²SCAN) for a geometry-optimized Ba2Re6S11 structure.

Cell lengths 11.9878, 11.9878, 11.9878 Å; angles 45.52, 45.52, 45.52 degrees
Closest atoms and distances in Å follow each position.
Sites, in units of the cell vectors:
S 0.5908 0.5908 0.5908  3 Re 2.38
S 0.8086 0.2104 0.5716  3 Re 2.42-2.43
Ba 0.3116 0.3116 0.3116  7 S 3.14-3.43
Re 0.1168 0.9883 0.7938  5 S 2.38-2.50, 4 Re 2.61-2.64
Re 0.3832 0.7062 0.5117  5 S 2.38-2.50, 4 Re 2.61-2.64
Re 0.7938 0.1168 0.9883  5 S 2.38-2.50, 4 Re 2.61-2.64
S 0.9284 0.2896 0.6914  3 Re 2.42-2.43
S 0.1914 0.7896 0.4284  3 Re 2.42-2.43
S 0.0190 0.4810 0.7500  2 Re 2.50
S 0.7896 0.4284 0.1914  3 Re 2.42-2.43
Re 0.4883 0.6168 0.2938  5 S 2.38-2.50, 4 Re 2.61-2.64
S 0.4092 0.4092 0.4092  3 Re 2.38
S 0.4810 0.7500 0.0190  2 Re 2.50
S 0.0716 0.7104 0.3086  3 Re 2.42-2.43
Re 0.7062 0.5117 0.3832  5 S 2.38-2.50, 4 Re 2.61-2.64
Ba 0.1884 0.1884 0.1884  7 S 3.14-3.43
S 0.4284 0.1914 0.7896  3 Re 2.42-2.43
S 0.2896 0.6914 0.9284  3 Re 2.42-2.43
Re 0.5117 0.3832 0.7062  5 S 2.38-2.50, 4 Re 2.61-2.64
S 0.5190 0.2500 0.9810  2 Re 2.50
Re 0.2062 0.8832 0.0117  5 S 2.38-2.50, 4 Re 2.61-2.64
S 0.0908 0.0908 0.0908  3 Re 2.38
S 0.9810 0.5190 0.2500  2 Re 2.50
S 0.6914 0.9284 0.2896  3 Re 2.42-2.43
S 0.5716 0.8086 0.2104  3 Re 2.42-2.43
S 0.9092 0.9092 0.9092  3 Re 2.38
Re 0.9883 0.7938 0.1168  5 S 2.38-2.50, 4 Re 2.61-2.64
Ba 0.8116 0.8116 0.8116  7 S 3.14-3.43
S 0.2104 0.5716 0.8086  3 Re 2.42-2.43
S 0.2500 0.9810 0.5190  2 Re 2.50
S 0.3086 0.0716 0.7104  3 Re 2.42-2.43
Re 0.8832 0.0117 0.2062  5 S 2.38-2.50, 4 Re 2.61-2.64
S 0.7104 0.3086 0.0716  3 Re 2.42-2.43
Ba 0.6884 0.6884 0.6884  7 S 3.14-3.43
Re 0.2938 0.4883 0.6168  5 S 2.38-2.50, 4 Re 2.61-2.64
Re 0.0117 0.2062 0.8832  5 S 2.38-2.50, 4 Re 2.61-2.64
Re 0.6168 0.2938 0.4883  5 S 2.38-2.50, 4 Re 2.61-2.64
S 0.7500 0.0190 0.4810  2 Re 2.50

Computed properties:
**Formation energy from the elements**: -1.01 eV per atom



12.
Density functional theory data (r²SCAN) for a geometry-optimized BaRh2 structure.

Cell lengths 5.5969, 5.5959, 5.5958 Å; angles 60.00, 60.01, 60.01 degrees
Closest atoms and distances in Å follow each position.
Sites, in units of the cell vectors:
Rh 0.0000 0.0000 0.5000  6 Rh 2.80
Rh 0.0000 0.5000 0.0000  6 Rh 2.80
Rh 0.5000 0.0000 0.0000  6 Rh 2.80
Rh 0.0000 0.0000 0.0000  6 Rh 2.80
Ba 0.6250 0.6250 0.6250  12 Rh 3.28, 4 Ba 3.43
Ba 0.3750 0.3750 0.3750  12 Rh 3.28, 4 Ba 3.43

Computed properties:
**Formation energy from the elements**: -0.07 eV per atom